Record 1
PBE+U Ba2MnReO6, optimized geometry; space group = Fm-3m; total moment = 0.40 μB per atom; energy relative to the elements = -2638.2 meV/atom
1.0
1.692 4.785 2.930
1.692 4.785 -2.930
-3.384 4.785 0.000
Ba Mn Re O
2 1 1 6
Direct
0.750 0.750 0.750
0.250 0.250 0.250
0.000 0.000 0.000
0.500 0.500 0.500
0.735 0.265 0.735
0.265 0.735 0.735
0.735 0.265 0.265
0.265 0.265 0.735
0.265 0.735 0.265
0.735 0.735 0.265

---

Record 2
PBE+U V2Zn3Si4O14, optimized geometry; space group = C2/c; total moment = 0.17 μB per atom; energy relative to the elements = -2647.7 meV/atom
1.0
3.882 8.248 0.000
-3.882 8.248 0.000
0.000 5.243 8.351
V Zn Si O
4 6 8 28
Direct
0.801 0.199 0.750
0.199 0.801 0.250
0.000 0.000 0.000
0.000 0.000 0.500
0.064 0.281 0.095
0.719 0.936 0.405
0.281 0.064 0.595
0.395 0.605 0.750
0.936 0.719 0.905
0.605 0.395 0.250
0.527 0.108 0.709
0.108 0.527 0.209
0.524 0.234 0.101
0.234 0.524 0.601
0.892 0.473 0.791
0.476 0.766 0.899
0.766 0.476 0.399
0.473 0.892 0.291
0.842 0.293 0.334
0.955 0.880 0.418
0.461 0.644 0.087
0.880 0.955 0.918
0.257 0.937 0.325
0.053 0.507 0.626
0.644 0.461 0.587
0.063 0.743 0.175
0.947 0.493 0.374
0.641 0.668 0.267
0.045 0.120 0.582
0.743 0.063 0.675
0.493 0.947 0.874
0.293 0.842 0.834
0.668 0.641 0.767
0.937 0.257 0.825
0.901 0.507 0.934
0.359 0.332 0.733
0.493 0.099 0.566
0.332 0.359 0.233
0.507 0.053 0.126
0.120 0.045 0.082
0.507 0.901 0.434
0.539 0.356 0.913
0.099 0.493 0.066
0.356 0.539 0.413
0.707 0.158 0.166
0.158 0.707 0.666

---

Record 3
PBE+U MnCo5O12, optimized geometry; space group = C2/m; total moment = 0.44 μB per atom; energy relative to the elements = -1180.9 meV/atom
1.0
2.455 4.265 -0.004
-2.472 4.262 -0.002
-0.004 -0.007 9.483
Mn Co O
1 5 12
Direct
0.000 0.000 0.000
0.167 0.667 0.500
0.667 0.667 0.000
0.333 0.333 0.000
0.833 0.333 0.500
0.500 0.000 0.500
0.000 0.661 0.100
0.338 0.661 0.900
0.166 0.333 0.402
0.500 0.667 0.402
0.500 0.333 0.598
0.167 0.000 0.599
0.834 0.667 0.598
0.662 0.339 0.100
0.339 0.000 0.101
0.000 0.339 0.900
0.661 0.000 0.899
0.833 0.000 0.401

---

Record 4
PBE+U VF5, optimized geometry; space group = C2/c; total moment = 0.00 μB per atom; energy relative to the elements = -2738.5 meV/atom
1.0
-3.543 -0.222 -4.076
-2.733 -4.659 0.198
-7.015 1.166 2.539
V F
2 10
Direct
0.000 0.000 0.500
0.000 0.000 0.000
0.074 0.926 0.750
0.926 0.074 0.250
0.205 0.243 0.887
0.757 0.795 0.613
0.729 0.290 0.550
0.710 0.271 0.950
0.271 0.710 0.450
0.290 0.729 0.050
0.243 0.205 0.387
0.795 0.757 0.113

---

Record 5
PBE+U Sr4LiMn2Cu3S4O4, optimized geometry; space group = C222; total moment = 0.55 μB per atom; energy relative to the elements = -1842.7 meV/atom
1.0
-4.121 4.120 0.000
-4.121 -4.120 0.000
-2.060 2.060 8.846
Sr Li Mn Cu S O
4 1 2 3 4 4
Direct
0.409 0.002 0.186
0.905 0.498 0.186
0.095 0.498 0.814
0.591 0.002 0.814
0.000 0.750 0.500
0.500 0.501 0.000
0.000 0.999 0.000
0.500 0.250 0.500
0.500 0.750 0.500
0.000 0.250 0.500
0.176 0.001 0.651
0.673 0.499 0.651
0.327 0.499 0.349
0.824 0.001 0.349
0.249 0.250 0.002
0.750 0.750 0.000
0.751 0.250 0.998
0.250 0.750 0.000

---

Record 6
PBE+U Ba2MnP4H6O16, optimized geometry; space group = P2_1/c; total moment = 0.17 μB per atom; energy relative to the elements = -2439.8 meV/atom
1.0
5.399 0.000 -0.947
0.000 10.417 0.000
0.030 0.000 12.203
Ba Mn P H O
4 2 8 12 32
Direct
0.636 0.149 0.819
0.364 0.649 0.681
0.364 0.851 0.181
0.636 0.351 0.319
0.500 0.500 0.000
0.500 0.000 0.500
0.917 0.491 0.808
0.083 0.991 0.692
0.083 0.509 0.192
0.917 0.009 0.308
0.265 0.199 0.053
0.735 0.699 0.447
0.735 0.801 0.947
0.265 0.301 0.553
0.112 0.324 0.748
0.888 0.824 0.752
0.888 0.676 0.252
0.112 0.176 0.248
0.208 0.037 0.932
0.792 0.537 0.568
0.792 0.963 0.068
0.208 0.463 0.432
0.926 0.316 0.055
0.074 0.816 0.445
0.074 0.684 0.945
0.926 0.184 0.555
0.681 0.494 0.859
0.319 0.994 0.641
0.319 0.506 0.141
0.681 0.006 0.359
0.853 0.448 0.119
0.147 0.948 0.381
0.147 0.552 0.881
0.853 0.052 0.619
0.426 0.279 0.990
0.574 0.779 0.510
0.574 0.721 0.010
0.426 0.221 0.490
0.337 0.197 0.179
0.663 0.697 0.321
0.663 0.803 0.821
0.337 0.303 0.679
0.874 0.558 0.693
0.126 0.058 0.807
0.126 0.442 0.307
0.874 0.942 0.193
0.970 0.342 0.789
0.030 0.842 0.711
0.030 0.658 0.211
0.970 0.158 0.289
0.267 0.052 0.016
0.733 0.552 0.484
0.733 0.948 0.984
0.267 0.448 0.516
0.978 0.234 0.020
0.022 0.734 0.480
0.022 0.766 0.980
0.978 0.266 0.520

---

Record 7
PBE+U Mn4O7F, optimized geometry; space group = Cc; total moment = 1.08 μB per atom; energy relative to the elements = -1883.7 meV/atom
1.0
4.962 4.463 0.000
-4.962 4.463 0.000
0.000 4.310 5.493
Mn O F
8 14 2
Direct
0.541 0.536 0.163
0.941 0.448 0.857
0.448 0.941 0.357
0.066 0.057 0.638
0.949 0.437 0.354
0.536 0.541 0.663
0.057 0.066 0.138
0.437 0.949 0.854
0.976 0.146 0.391
0.488 0.652 0.385
0.850 0.523 0.113
0.790 0.119 0.108
0.652 0.488 0.885
0.382 0.201 0.391
0.119 0.790 0.608
0.618 0.288 0.613
0.201 0.382 0.891
0.351 0.027 0.107
0.288 0.618 0.113
0.146 0.976 0.891
0.523 0.850 0.613
0.027 0.351 0.607
0.718 0.895 0.879
0.895 0.718 0.379

---

Record 8
PBE+U LiNi3O6, optimized geometry; total moment = 0.00 μB per atom; energy relative to the elements = -1042.4 meV/atom
1.0
1.918 -3.963 2.291
-5.945 -0.349 2.680
-3.188 -3.265 -4.672
Li Ni O
2 6 12
Direct
0.250 0.083 0.417
0.750 0.583 0.917
0.500 0.833 0.167
0.000 0.667 0.333
0.000 0.000 0.000
0.000 0.333 0.667
0.500 0.167 0.833
0.500 0.500 0.500
0.399 0.437 0.771
0.899 0.937 0.271
0.101 0.729 0.063
0.601 0.229 0.563
0.857 0.596 0.598
0.357 0.096 0.098
0.357 0.765 0.429
0.857 0.265 0.929
0.143 0.071 0.735
0.643 0.571 0.235
0.643 0.902 0.904
0.143 0.402 0.404

---

Record 9
PBE+U KBaSrMnO6, optimized geometry; space group = Pnnn; total moment = 0.60 μB per atom; energy relative to the elements = -2021.0 meV/atom
1.0
8.587 0.000 0.000
0.000 8.656 0.000
0.000 0.000 8.665
K Ba Sr Mn O
4 4 4 4 24
Direct
0.000 0.500 0.500
0.500 0.000 0.500
0.500 0.000 0.000
0.000 0.500 0.000
0.500 0.500 0.000
0.000 0.000 0.500
0.000 0.000 0.000
0.500 0.500 0.500
0.250 0.250 0.250
0.750 0.750 0.250
0.750 0.250 0.750
0.250 0.750 0.750
0.750 0.750 0.750
0.250 0.250 0.750
0.250 0.750 0.250
0.750 0.250 0.250
0.968 0.219 0.264
0.032 0.781 0.264
0.032 0.219 0.736
0.968 0.781 0.736
0.254 0.968 0.230
0.254 0.032 0.770
0.746 0.032 0.230
0.746 0.968 0.770
0.233 0.266 0.968
0.767 0.266 0.032
0.233 0.734 0.032
0.767 0.734 0.968
0.532 0.281 0.236
0.468 0.719 0.236
0.468 0.281 0.764
0.532 0.719 0.764
0.246 0.532 0.270
0.246 0.468 0.730
0.754 0.468 0.270
0.754 0.532 0.730
0.267 0.234 0.532
0.733 0.234 0.468
0.267 0.766 0.468
0.733 0.766 0.532

---

Record 10
PBE+U Li9Mn2Co5O16, optimized geometry; space group = P1; total moment = 0.00 μB per atom; energy relative to the elements = -1717.5 meV/atom
1.0
5.076 0.000 0.000
-1.645 -5.742 0.000
-1.910 0.451 -9.951
Li Mn Co O
9 2 5 16
Direct
0.496 0.377 0.131
0.992 0.253 0.266
0.005 0.499 0.998
0.510 0.135 0.382
0.011 0.003 0.500
0.483 0.867 0.617
0.988 0.745 0.737
0.509 0.626 0.867
0.006 0.499 0.499
0.997 0.999 0.999
0.501 0.874 0.127
0.013 0.741 0.266
0.520 0.616 0.388
0.498 0.379 0.624
0.993 0.256 0.740
0.488 0.126 0.863
0.252 0.045 0.172
0.738 0.927 0.298
0.742 0.155 0.055
0.245 0.813 0.427
0.740 0.697 0.554
0.262 0.535 0.688
0.737 0.422 0.807
0.226 0.282 0.936
0.755 0.720 0.065
0.270 0.591 0.187
0.245 0.828 0.950
0.751 0.453 0.308
0.273 0.323 0.448
0.741 0.204 0.577
0.249 0.057 0.698
0.763 0.951 0.825

---

Record 11
PBE+U Li9Mn2Co5O16, optimized geometry; space group = P-1; total moment = 0.25 μB per atom; energy relative to the elements = -1850.7 meV/atom
1.0
5.821 0.000 0.000
2.909 5.123 0.000
1.458 1.080 9.636
Li Mn Co O
9 2 5 16
Direct
0.127 0.124 0.245
0.870 0.377 0.751
0.623 0.622 0.249
0.130 0.623 0.249
0.873 0.876 0.755
0.622 0.133 0.246
0.378 0.867 0.754
0.377 0.378 0.751
0.500 0.500 0.000
0.000 0.000 0.000
0.500 0.000 0.000
0.750 0.250 0.500
0.250 0.750 0.500
0.000 0.500 0.000
0.750 0.750 0.500
0.250 0.250 0.500
0.306 0.832 0.112
0.062 0.068 0.615
0.840 0.300 0.106
0.307 0.300 0.106
0.063 0.567 0.617
0.798 0.846 0.117
0.562 0.567 0.618
0.562 0.070 0.614
0.937 0.433 0.383
0.693 0.700 0.894
0.438 0.930 0.386
0.938 0.932 0.385
0.694 0.168 0.888
0.438 0.433 0.382
0.202 0.154 0.883
0.160 0.700 0.894

---

Record 12
PBE+U Li4Fe3Ni5O16, optimized geometry; space group = Cm; total moment = 0.64 μB per atom; energy relative to the elements = -1297.3 meV/atom
1.0
-1.591 0.123 -5.514
-1.206 -4.594 3.246
-8.276 3.934 2.494
Li Fe Ni O
4 3 5 16
Direct
0.341 0.670 0.888
0.997 0.998 0.996
0.992 0.996 0.499
0.667 0.334 0.392
0.170 0.832 0.214
0.170 0.338 0.214
0.337 0.169 0.716
0.330 0.665 0.494
0.660 0.830 0.214
0.671 0.336 0.988
0.830 0.661 0.715
0.830 0.169 0.715
0.156 0.841 0.608
0.032 0.516 0.334
0.351 0.675 0.099
0.978 0.989 0.315
0.993 0.997 0.809
0.156 0.315 0.608
0.486 0.964 0.333
0.486 0.522 0.333
0.324 0.162 0.104
0.682 0.841 0.608
0.522 0.485 0.830
0.522 0.037 0.830
0.672 0.336 0.613
0.838 0.683 0.104
0.967 0.484 0.829
0.838 0.155 0.104